Record 1
# Cs2MoS3O

A geometry-optimized Cs2MoS3O structure (PBE+U, the Materials Project).

abc: 7.6029 10.0545 12.4004
angles: 90.00 90.00 90.00
With the nearest neighbours (Å) after each atom.
Fractional coordinates of all 28 atoms:
Cs  0.2500  0.1671  0.6238  6 S 3.58-3.76, 2 O 3.90
Cs  0.2500  0.6671  0.8762  6 S 3.58-3.76, 2 O 3.90
Cs  0.7500  0.8329  0.3762  6 S 3.58-3.76, 2 O 3.90
Cs  0.7500  0.3329  0.1238  6 S 3.58-3.76, 2 O 3.90
Cs  0.2500  0.9578  0.1876  2 O 3.21-3.39, 1 S 3.60
Cs  0.2500  0.4578  0.3124  2 O 3.21-3.39, 1 S 3.60
Cs  0.7500  0.0422  0.8124  2 O 3.21-3.39, 1 S 3.60
Cs  0.7500  0.5422  0.6876  2 O 3.21-3.39, 1 S 3.60
Mo  0.2500  0.2429  0.9509  1 O 1.77
Mo  0.2500  0.7429  0.5491  1 O 1.77
Mo  0.7500  0.7571  0.0491  1 O 1.77
Mo  0.7500  0.2571  0.4509  1 O 1.77
S  0.0112  0.3400  0.8834  1 Mo 2.22
S  0.4888  0.8400  0.6166  1 Mo 2.22
S  0.5112  0.6600  0.1166  1 Mo 2.22
S  0.9888  0.1600  0.3834  1 Mo 2.22
S  0.9888  0.6600  0.1166  1 Mo 2.22
S  0.5112  0.1600  0.3834  1 Mo 2.22
S  0.4888  0.3400  0.8834  1 Mo 2.22
S  0.0112  0.8400  0.6166  1 Mo 2.22
S  0.2500  0.0295  0.9035  1 Mo 2.22
S  0.2500  0.5295  0.5965  1 Mo 2.22
S  0.7500  0.9705  0.0965  1 Mo 2.22
S  0.7500  0.4705  0.4035  1 Mo 2.22
O  0.2500  0.2557  0.0933  1 Mo 1.77
O  0.2500  0.7557  0.4067  1 Mo 1.77
O  0.7500  0.7443  0.9067  1 Mo 1.77
O  0.7500  0.2443  0.5933  1 Mo 1.77

***

Record 2
# Cs2MoS2O2

A geometry-optimized Cs2MoS2O2 structure (PBE+U, the Materials Project).

abc: 8.0093 9.6056 11.2845
angles: 90.00 90.00 90.00
With the nearest neighbours (Å) after each atom.
Fractional coordinates of all 28 atoms:
Cs  0.2100  0.8858  0.0878  3 O 3.09-3.19
Cs  0.2900  0.6142  0.5878  3 O 3.09-3.19
Cs  0.2900  0.3858  0.9122  3 O 3.09-3.19
Cs  0.2100  0.1142  0.4122  3 O 3.09-3.19
Cs  0.7900  0.1142  0.9122  3 O 3.09-3.19
Cs  0.7100  0.3858  0.4122  3 O 3.09-3.19
Cs  0.7100  0.6142  0.0878  3 O 3.09-3.19
Cs  0.7900  0.8858  0.5878  3 O 3.09-3.19
Mo  0.1948  0.5000  0.2500  2 O 1.79
Mo  0.3052  0.0000  0.7500  2 O 1.79
Mo  0.8052  0.5000  0.7500  2 O 1.79
Mo  0.6948  0.0000  0.2500  2 O 1.79
S  0.0320  0.6677  0.3253  1 Mo 2.24
S  0.4680  0.8323  0.8253  1 Mo 2.24
S  0.4680  0.1677  0.6747  1 Mo 2.24
S  0.0320  0.3323  0.1747  1 Mo 2.24
S  0.9680  0.3323  0.6747  1 Mo 2.24
S  0.5320  0.1677  0.1747  1 Mo 2.24
S  0.5320  0.8323  0.3253  1 Mo 2.24
S  0.9680  0.6677  0.8253  1 Mo 2.24
O  0.3199  0.5720  0.1340  1 Mo 1.79
O  0.1801  0.9280  0.6340  1 Mo 1.79
O  0.1801  0.0720  0.8660  1 Mo 1.79
O  0.3199  0.4280  0.3660  1 Mo 1.79
O  0.6801  0.4280  0.8660  1 Mo 1.79
O  0.8199  0.0720  0.3660  1 Mo 1.79
O  0.8199  0.9280  0.1340  1 Mo 1.79
O  0.6801  0.5720  0.6340  1 Mo 1.79

***

Record 3
# Cs2Mo3SeO12

A geometry-optimized Cs2Mo3SeO12 structure (PBE+U, the Materials Project).

Summary:
The maximum piezoelectric response is 0.5 C/m².

abc: 7.4185 7.4185 12.9614
angles: 90.00 90.00 120.00
With the nearest neighbours (Å) after each atom.
Fractional coordinates of all 36 atoms:
Cs  0.6667  0.3333  0.2290  6 O 3.12-3.17
Cs  0.3333  0.6667  0.7290  6 O 3.12-3.17
Cs  0.6667  0.3333  0.6017  3 O 3.19
Cs  0.3333  0.6667  0.1017  3 O 3.19
Mo  0.8032  0.6613  0.8978  3 O 1.74-1.86
Mo  0.6613  0.8581  0.3978  3 O 1.74-1.86
Mo  0.8581  0.1968  0.8978  3 O 1.74-1.86
Mo  0.1419  0.8032  0.3978  3 O 1.74-1.86
Mo  0.3387  0.1419  0.8978  3 O 1.74-1.86
Mo  0.1968  0.3387  0.3978  3 O 1.74-1.86
Se  0.0000  0.0000  0.1786  3 O 1.74
Se  0.0000  0.0000  0.6786  3 O 1.74
O  0.7528  0.8708  0.2338  1 Se 1.74
O  0.8820  0.7528  0.7338  1 Se 1.74
O  0.8708  0.1180  0.7338  1 Se 1.74
O  0.1292  0.8820  0.2338  1 Se 1.74
O  0.1180  0.2472  0.2338  1 Se 1.74
O  0.2472  0.1292  0.7338  1 Se 1.74
O  0.4533  0.9118  0.3560  1 Mo 1.86
O  0.5415  0.4533  0.8560  1 Mo 1.86
O  0.9118  0.4585  0.8560  1 Mo 1.86
O  0.0882  0.5415  0.3560  1 Mo 1.86
O  0.4585  0.5467  0.3560  1 Mo 1.86
O  0.5467  0.0882  0.8560  1 Mo 1.86
O  0.1229  0.8725  0.9077  1 Mo 1.84
O  0.2504  0.1229  0.4077  1 Mo 1.84
O  0.8725  0.7496  0.4077  1 Mo 1.84
O  0.1275  0.2504  0.9077  1 Mo 1.84
O  0.7496  0.8771  0.9077  1 Mo 1.84
O  0.8771  0.1275  0.4077  1 Mo 1.84
O  0.6011  0.8013  0.5280  1 Mo 1.74
O  0.2002  0.3989  0.5280  1 Mo 1.74
O  0.1987  0.7998  0.5280  1 Mo 1.74
O  0.8013  0.2002  0.0280  1 Mo 1.74
O  0.7998  0.6011  0.0280  1 Mo 1.74
O  0.3989  0.1987  0.0280  1 Mo 1.74

***

Record 4
# CsSmMo2O8

A geometry-optimized CsSmMo2O8 structure (PBE+U, the Materials Project).

abc: 7.7047 7.7047 7.9841
angles: 61.69 61.69 88.38
With the nearest neighbours (Å) after each atom.
Fractional coordinates of all 24 atoms:
Cs  0.1958  0.8042  0.7500  10 O 2.93-3.28
Cs  0.8042  0.1958  0.2500  10 O 2.93-3.28
Sm  0.7702  0.2298  0.7500  6 O 2.37-2.45
Sm  0.2298  0.7702  0.2500  6 O 2.37-2.45
Mo  0.6928  0.6911  0.7664  3 O 1.77-1.86
Mo  0.3072  0.3089  0.2336  3 O 1.77-1.86
Mo  0.3089  0.3072  0.7336  3 O 1.77-1.86
Mo  0.6911  0.6928  0.2664  3 O 1.77-1.86
O  0.6137  0.7573  0.5728  1 Mo 1.77
O  0.3863  0.2427  0.4272  1 Mo 1.77
O  0.2427  0.3863  0.9272  1 Mo 1.77
O  0.7573  0.6137  0.0728  1 Mo 1.77
O  0.3826  0.0723  0.8731  1 Mo 1.86
O  0.6174  0.9277  0.1269  1 Mo 1.86
O  0.9277  0.6174  0.6269  1 Mo 1.86
O  0.0723  0.3826  0.3731  1 Mo 1.86
O  0.5831  0.3709  0.9680  2 Mo 2.02-2.11
O  0.4169  0.6291  0.0320  2 Mo 2.02-2.11
O  0.6291  0.4169  0.5320  2 Mo 2.02-2.11
O  0.3709  0.5831  0.4680  2 Mo 2.02-2.11
O  0.7839  0.9410  0.7035  1 Mo 1.81
O  0.2161  0.0590  0.2965  1 Mo 1.81
O  0.0590  0.2161  0.7965  1 Mo 1.81
O  0.9410  0.7839  0.2035  1 Mo 1.81

***

Record 5
# CsSmMo2O8

A geometry-optimized CsSmMo2O8 structure (PBE+U, the Materials Project).

abc: 5.1413 8.4262 9.8870
angles: 88.25 90.00 90.00
With the nearest neighbours (Å) after each atom.
Fractional coordinates of all 24 atoms:
Cs  0.4679  0.7500  0.5000  8 O 3.23-3.58
Cs  0.5321  0.2500  0.5000  8 O 3.23-3.58
Sm  0.5032  0.7500  0.0000  8 O 2.35-2.58
Sm  0.4968  0.2500  0.0000  8 O 2.35-2.58
Mo  0.9769  0.4921  0.1924  4 O 1.76-1.86
Mo  0.0231  0.5079  0.8076  4 O 1.76-1.86
Mo  0.9769  0.0079  0.8076  4 O 1.76-1.86
Mo  0.0231  0.9921  0.1924  4 O 1.76-1.86
O  0.8885  0.9838  0.3557  1 Mo 1.76
O  0.1115  0.0162  0.6443  1 Mo 1.76
O  0.8885  0.5162  0.6443  1 Mo 1.76
O  0.1115  0.4838  0.3557  1 Mo 1.76
O  0.7639  0.3224  0.1811  1 Mo 1.81
O  0.2361  0.6776  0.8189  1 Mo 1.81
O  0.7639  0.1776  0.8189  1 Mo 1.81
O  0.2361  0.8224  0.1811  1 Mo 1.81
O  0.7515  0.9968  0.0680  1 Mo 1.86
O  0.2485  0.0032  0.9320  1 Mo 1.86
O  0.7515  0.5032  0.9320  1 Mo 1.86
O  0.2485  0.4968  0.0680  1 Mo 1.86
O  0.7638  0.6628  0.1835  1 Mo 1.81
O  0.2362  0.3372  0.8165  1 Mo 1.81
O  0.7638  0.8372  0.8165  1 Mo 1.81
O  0.2362  0.1628  0.1835  1 Mo 1.81

***

Record 6
# CsSmMo2O8

A geometry-optimized CsSmMo2O8 structure (PBE+U, the Materials Project).

abc: 5.1496 8.3100 9.6800
angles: 90.00 90.00 90.00
With the nearest neighbours (Å) after each atom.
Fractional coordinates of all 24 atoms:
Cs  0.0000  0.2500  0.5000  8 O 3.15-3.37
Cs  0.0000  0.7500  0.5000  8 O 3.15-3.37
Sm  0.0000  0.2500  0.0000  8 O 2.37-2.54
Sm  0.0000  0.7500  0.0000  8 O 2.37-2.54
Mo  0.5207  0.0000  0.1974  4 O 1.75-1.87
Mo  0.4793  0.0000  0.8026  4 O 1.75-1.87
Mo  0.4793  0.5000  0.1974  4 O 1.75-1.87
Mo  0.5207  0.5000  0.8026  4 O 1.75-1.87
O  0.2519  0.0000  0.0680  1 Mo 1.87
O  0.7481  0.0000  0.9320  1 Mo 1.87
O  0.7481  0.5000  0.0680  1 Mo 1.87
O  0.2519  0.5000  0.9320  1 Mo 1.87
O  0.2639  0.3283  0.1886  1 Mo 1.81
O  0.7361  0.6717  0.8114  1 Mo 1.81
O  0.7361  0.3283  0.8114  1 Mo 1.81
O  0.7361  0.1717  0.1886  1 Mo 1.81
O  0.2639  0.6717  0.1886  1 Mo 1.81
O  0.2639  0.8283  0.8114  1 Mo 1.81
O  0.2639  0.1717  0.8114  1 Mo 1.81
O  0.7361  0.8283  0.1886  1 Mo 1.81
O  0.3800  0.0000  0.3624  1 Mo 1.75
O  0.6200  0.0000  0.6375  1 Mo 1.75
O  0.6200  0.5000  0.3624  1 Mo 1.75
O  0.3800  0.5000  0.6375  1 Mo 1.75

***

Record 7
# CsTmMo2O8

A geometry-optimized CsTmMo2O8 structure (PBE+U, the Materials Project).

abc: 5.0448 8.1343 9.7601
angles: 87.99 90.00 90.00
With the nearest neighbours (Å) after each atom.
Fractional coordinates of all 24 atoms:
Cs  0.4664  0.7500  0.5000  6 O 3.16-3.36
Cs  0.5336  0.2500  0.5000  6 O 3.16-3.36
Tm  0.5012  0.7500  0.0000  8 O 2.26-2.46
Tm  0.4988  0.2500  0.0000  8 O 2.26-2.46
Mo  0.9766  0.4914  0.1902  4 O 1.75-1.86
Mo  0.0234  0.5086  0.8098  4 O 1.75-1.86
Mo  0.9766  0.0086  0.8098  4 O 1.75-1.86
Mo  0.0234  0.9914  0.1902  4 O 1.75-1.86
O  0.8921  0.9830  0.3564  1 Mo 1.75
O  0.1079  0.0170  0.6436  1 Mo 1.75
O  0.8921  0.5170  0.6436  1 Mo 1.75
O  0.1079  0.4830  0.3564  1 Mo 1.75
O  0.7575  0.3165  0.1790  1 Mo 1.81
O  0.2425  0.6835  0.8210  1 Mo 1.81
O  0.7575  0.1835  0.8210  1 Mo 1.81
O  0.2425  0.8165  0.1790  1 Mo 1.81
O  0.7443  0.9972  0.0650  1 Mo 1.86
O  0.2557  0.0028  0.9350  1 Mo 1.86
O  0.7443  0.5028  0.9350  1 Mo 1.86
O  0.2557  0.4972  0.0650  1 Mo 1.86
O  0.7578  0.6678  0.1796  1 Mo 1.81
O  0.2422  0.3322  0.8204  1 Mo 1.81
O  0.7578  0.8322  0.8204  1 Mo 1.81
O  0.2422  0.1678  0.1796  1 Mo 1.81

***

Record 8
# CsTmMo2O8

A geometry-optimized CsTmMo2O8 structure (PBE+U, the Materials Project).

abc: 7.5653 7.5653 7.7539
angles: 62.08 62.08 88.52
With the nearest neighbours (Å) after each atom.
Fractional coordinates of all 24 atoms:
Cs  0.1965  0.8035  0.7500  10 O 2.89-3.19
Cs  0.8035  0.1965  0.2500  10 O 2.89-3.19
Tm  0.7709  0.2291  0.7500  6 O 2.29-2.36
Tm  0.2291  0.7709  0.2500  6 O 2.29-2.36
Mo  0.6970  0.6930  0.7673  3 O 1.79-1.86
Mo  0.3030  0.3070  0.2327  3 O 1.79-1.86
Mo  0.3070  0.3030  0.7327  3 O 1.79-1.86
Mo  0.6930  0.6970  0.2673  3 O 1.79-1.86
O  0.6174  0.7589  0.5656  1 Mo 1.79
O  0.3826  0.2411  0.4344  1 Mo 1.79
O  0.2411  0.3826  0.9344  1 Mo 1.79
O  0.7589  0.6174  0.0656  1 Mo 1.79
O  0.3799  0.0658  0.8796  1 Mo 1.86
O  0.6201  0.9342  0.1204  1 Mo 1.86
O  0.9342  0.6201  0.6204  1 Mo 1.86
O  0.0658  0.3799  0.3796  1 Mo 1.86
O  0.5862  0.3682  0.9652  2 Mo 2.02-2.11
O  0.4138  0.6318  0.0348  2 Mo 2.02-2.11
O  0.6318  0.4138  0.5348  2 Mo 2.02-2.11
O  0.3682  0.5862  0.4652  2 Mo 2.02-2.11
O  0.7876  0.9506  0.6994  1 Mo 1.82
O  0.2124  0.0494  0.3006  1 Mo 1.82
O  0.0494  0.2124  0.8006  1 Mo 1.82
O  0.9506  0.7876  0.1994  1 Mo 1.82

***

Record 9
# CsTmMo2O8

A geometry-optimized CsTmMo2O8 structure (PBE+U, the Materials Project).

abc: 5.0739 8.0611 9.5995
angles: 90.00 90.00 90.00
With the nearest neighbours (Å) after each atom.
Fractional coordinates of all 24 atoms:
Cs  0.0000  0.2500  0.5000  8 O 3.11-3.35
Cs  0.0000  0.7500  0.5000  8 O 3.11-3.35
Tm  0.0000  0.2500  0.0000  8 O 2.28-2.45
Tm  0.0000  0.7500  0.0000  8 O 2.28-2.45
Mo  0.5219  0.0000  0.1936  4 O 1.75-1.87
Mo  0.4781  0.0000  0.8064  4 O 1.75-1.87
Mo  0.4781  0.5000  0.1936  4 O 1.75-1.87
Mo  0.5219  0.5000  0.8064  4 O 1.75-1.87
O  0.2454  0.0000  0.0645  1 Mo 1.87
O  0.7546  0.0000  0.9355  1 Mo 1.87
O  0.7546  0.5000  0.0645  1 Mo 1.87
O  0.2454  0.5000  0.9355  1 Mo 1.87
O  0.2583  0.3233  0.1845  1 Mo 1.81
O  0.7417  0.6767  0.8155  1 Mo 1.81
O  0.7417  0.3233  0.8155  1 Mo 1.81
O  0.7417  0.1767  0.1845  1 Mo 1.81
O  0.2583  0.6767  0.1845  1 Mo 1.81
O  0.2583  0.8233  0.8155  1 Mo 1.81
O  0.2583  0.1767  0.8155  1 Mo 1.81
O  0.7417  0.8233  0.1845  1 Mo 1.81
O  0.3854  0.0000  0.3613  1 Mo 1.75
O  0.6146  0.0000  0.6387  1 Mo 1.75
O  0.6146  0.5000  0.3613  1 Mo 1.75
O  0.3854  0.5000  0.6387  1 Mo 1.75

***

Record 10
# Cs4U3Mo3O20

A geometry-optimized Cs4U3Mo3O20 structure (PBE+U, the Materials Project).

abc: 7.7732 8.0553 9.8909
angles: 79.13 82.30 87.62
With the nearest neighbours (Å) after each atom.
Fractional coordinates of all 30 atoms:
Cs  0.3618  0.2655  0.7511  6 O 3.13-3.48
Cs  0.4867  0.7849  0.0394  6 O 3.08-3.20
Cs  0.4761  0.2526  0.2687  8 O 3.08-3.39
Cs  0.6861  0.7142  0.5073  9 O 3.13-3.42
U  0.9847  0.5347  0.1567  2 O 1.84-1.85
U  0.9757  0.0213  0.1455  2 O 1.85
U  0.0128  0.8521  0.8027  2 O 1.84
Mo  0.8553  0.3498  0.8834  4 O 1.76-1.90
Mo  0.1996  0.7254  0.4431  4 O 1.76-1.86
Mo  0.9136  0.1948  0.4992  4 O 1.76-1.83
O  0.7424  0.9716  0.1882  1 U 1.85
O  0.9676  0.5463  0.9052  1 Mo 1.90
O  0.6862  0.1962  0.5440  1 Mo 1.76
O  0.0558  0.7365  0.6040  1 Mo 1.83
O  0.0434  0.0981  0.6355  1 Mo 1.83
O  0.9912  0.3928  0.3923  1 Mo 1.82
O  0.7522  0.5775  0.2097  1 U 1.85
O  0.9999  0.8026  0.0311  3 U 2.21-2.28
O  0.2108  0.0653  0.1059  1 U 1.85
O  0.8678  0.3880  0.7004  1 Mo 1.77
O  0.9523  0.1267  0.9079  1 Mo 1.90
O  0.3479  0.8914  0.4080  1 Mo 1.76
O  0.9055  0.2927  0.1140  2 U 2.20-2.21, 1 Mo 2.32
O  0.6301  0.3548  0.9377  1 Mo 1.76
O  0.2188  0.4929  0.1144  1 U 1.84
O  0.7776  0.8552  0.7935  1 U 1.84
O  0.2504  0.8566  0.7978  1 U 1.84
O  0.0730  0.7391  0.2940  1 Mo 1.86
O  0.3290  0.5393  0.4696  1 Mo 1.77
O  0.9542  0.0462  0.3819  1 Mo 1.81

***

Record 11
# CsVMo2O8

A geometry-optimized CsVMo2O8 structure (PBE+U, the Materials Project).

abc: 5.8182 10.1771 10.0645
angles: 60.18 89.97 106.62
With the nearest neighbours (Å) after each atom.
Fractional coordinates of all 24 atoms:
Cs  0.5004  0.0009  0.4991  12 O 3.38-3.43
Cs  0.9996  0.9991  0.0009  12 O 3.38-3.43
V  0.7500  0.5000  0.2500  6 O 2.01-2.04
V  0.2500  0.5000  0.7500  6 O 2.01-2.03
Mo  0.1450  0.2903  0.1878  4 O 1.76-1.81
Mo  0.3550  0.7097  0.3122  4 O 1.76-1.81
Mo  0.6454  0.2908  0.6879  4 O 1.75-1.81
Mo  0.8545  0.7092  0.8121  4 O 1.75-1.81
O  0.9597  0.9196  0.7063  1 Mo 1.75
O  0.4602  0.9203  0.2062  1 Mo 1.76
O  0.0398  0.0797  0.2938  1 Mo 1.76
O  0.5403  0.0804  0.7937  1 Mo 1.75
O  0.9214  0.3558  0.2405  1 Mo 1.81
O  0.4215  0.3562  0.7402  1 Mo 1.81
O  0.8215  0.6428  0.0171  1 Mo 1.81, 1 V 2.01
O  0.3218  0.6433  0.5170  1 Mo 1.81, 1 V 2.01
O  0.4339  0.3558  0.2404  1 Mo 1.81
O  0.9348  0.3563  0.7402  1 Mo 1.81
O  0.1782  0.3567  0.9830  1 Mo 1.81, 1 V 2.01
O  0.6785  0.3572  0.4829  1 Mo 1.81, 1 V 2.01
O  0.0785  0.6438  0.7598  1 Mo 1.81
O  0.5786  0.6442  0.2595  1 Mo 1.81
O  0.5652  0.6437  0.7598  1 Mo 1.81
O  0.0661  0.6442  0.2596  1 Mo 1.81

***

Record 12
# CsYMo2O8

A geometry-optimized CsYMo2O8 structure (PBE+U, the Materials Project).

abc: 6.1109 6.1109 8.3914
angles: 90.00 90.00 120.00
With the nearest neighbours (Å) after each atom.
Fractional coordinates of all 12 atoms:
Cs  0.0000  0.0000  0.0000  12 O 3.36-3.57
Y  0.0000  0.0000  0.5000  6 O 2.26
Mo  0.3333  0.6667  0.2703  4 O 1.75-1.81
Mo  0.6667  0.3333  0.7297  4 O 1.75-1.81
O  0.1706  0.8294  0.3378  1 Mo 1.81
O  0.8294  0.1706  0.6622  1 Mo 1.81
O  0.1706  0.3412  0.3378  1 Mo 1.81
O  0.8294  0.6588  0.6622  1 Mo 1.81
O  0.6588  0.8294  0.3378  1 Mo 1.81
O  0.3412  0.1706  0.6622  1 Mo 1.81
O  0.3333  0.6667  0.0617  1 Mo 1.75
O  0.6667  0.3333  0.9383  1 Mo 1.75

***

| no. | formation energy (eV/atom) |
| --- | --- |
| 1 | -1.30 |
| 2 | -1.61 |
| 3 | -1.97 |
| 4 | -2.50 |
| 5 | -2.54 |
| 6 | -2.54 |
| 7 | -2.55 |
| 8 | -2.50 |
| 9 | -2.55 |
| 10 | -2.77 |
| 11 | -2.21 |
| 12 | -2.56 |